# 1
Compound: Ba4Fe3S6F4
Source: the Materials Project
Functional: GGA+U
Structure: optimized geometry

abc: 12.814 19.115 6.252
angles: 90.00 90.00 90.00
Fractional positions:
1 Ba 0.001 0.079 0.245
2 Ba 0.001 0.421 0.245
3 Ba 0.250 0.079 0.736
4 Ba 0.250 0.421 0.736
5 Ba 0.250 0.579 0.236
6 Ba 0.250 0.921 0.236
7 Ba 0.499 0.579 0.745
8 Ba 0.499 0.921 0.745
9 Ba 0.501 0.079 0.255
10 Ba 0.501 0.421 0.255
11 Ba 0.750 0.079 0.764
12 Ba 0.750 0.421 0.764
13 Ba 0.750 0.579 0.264
14 Ba 0.750 0.921 0.264
15 Ba 0.999 0.579 0.755
16 Ba 0.999 0.921 0.755
17 Fe 0.049 0.250 0.857
18 Fe 0.125 0.750 0.497
19 Fe 0.202 0.250 0.354
20 Fe 0.298 0.750 0.854
21 Fe 0.375 0.250 0.997
22 Fe 0.451 0.750 0.357
23 Fe 0.549 0.250 0.643
24 Fe 0.625 0.750 0.003
25 Fe 0.702 0.250 0.146
26 Fe 0.798 0.750 0.646
27 Fe 0.875 0.250 0.503
28 Fe 0.951 0.750 0.143
29 S 0.022 0.651 0.275
30 S 0.022 0.849 0.275
31 S 0.027 0.250 0.234
32 S 0.223 0.250 0.730
33 S 0.228 0.651 0.719
34 S 0.228 0.849 0.719
35 S 0.272 0.151 0.219
36 S 0.272 0.349 0.219
37 S 0.277 0.750 0.230
38 S 0.473 0.750 0.734
39 S 0.478 0.151 0.775
40 S 0.478 0.349 0.775
41 S 0.522 0.651 0.225
42 S 0.522 0.849 0.225
43 S 0.527 0.250 0.266
44 S 0.723 0.250 0.770
45 S 0.728 0.651 0.781
46 S 0.728 0.849 0.781
47 S 0.772 0.151 0.281
48 S 0.772 0.349 0.281
49 S 0.777 0.750 0.270
50 S 0.973 0.750 0.766
51 S 0.978 0.151 0.725
52 S 0.978 0.349 0.725
53 F 0.125 0.001 0.491
54 F 0.125 0.002 0.991
55 F 0.125 0.498 0.991
56 F 0.125 0.499 0.491
57 F 0.375 0.501 0.991
58 F 0.375 0.502 0.491
59 F 0.375 0.998 0.491
60 F 0.375 0.999 0.991
61 F 0.625 0.001 0.009
62 F 0.625 0.002 0.509
63 F 0.625 0.498 0.509
64 F 0.625 0.499 0.009
65 F 0.875 0.501 0.509
66 F 0.875 0.502 0.009
67 F 0.875 0.998 0.009
68 F 0.875 0.999 0.509

Energy relative to the elements in eV per atom: -2.1990
Space group: Pnma
E (MP2020) in eV per atom: -6.056
VASP energy in eV/atom: -5.3713

# 2
Compound: Ba2ZnFe2F14
Source: the Materials Project
Functional: GGA+U
Structure: optimized geometry

abc: 5.737 10.123 9.542
angles: 90.00 94.20 90.00
Fractional positions:
1 Ba 0.000 0.042 0.000
2 Ba 0.000 0.958 0.500
3 Ba 0.509 0.450 0.992
4 Ba 0.509 0.550 0.492
5 Zn 0.955 0.357 0.302
6 Zn 0.955 0.643 0.802
7 Fe 0.074 0.350 0.685
8 Fe 0.074 0.650 0.185
9 Fe 0.461 0.131 0.304
10 Fe 0.461 0.869 0.804
11 F 0.162 0.207 0.365
12 F 0.162 0.793 0.865
13 F 0.165 0.294 0.873
14 F 0.165 0.706 0.373
15 F 0.230 0.466 0.244
16 F 0.230 0.534 0.744
17 F 0.269 0.014 0.754
18 F 0.269 0.986 0.254
19 F 0.371 0.327 0.617
20 F 0.371 0.673 0.117
21 F 0.385 0.199 0.131
22 F 0.385 0.801 0.631
23 F 0.513 0.062 0.479
24 F 0.513 0.938 0.979
25 F 0.628 0.293 0.355
26 F 0.628 0.707 0.855
27 F 0.684 0.220 0.918
28 F 0.684 0.780 0.418
29 F 0.748 0.056 0.255
30 F 0.748 0.944 0.755
31 F 0.797 0.463 0.744
32 F 0.797 0.537 0.244
33 F 0.873 0.291 0.111
34 F 0.873 0.709 0.611
35 F 0.927 0.192 0.629
36 F 0.927 0.808 0.129
37 F 0.979 0.436 0.496
38 F 0.979 0.564 0.996

Energy relative to the elements in eV per atom: -2.8711
Space group: Pc
E (MP2020) in eV per atom: -5.442
VASP energy in eV/atom: -4.8638

# 3
Compound: Ba4MnGa2S6F4
Source: the Materials Project
Functional: GGA+U
Structure: optimized geometry

abc: 9.995 9.995 12.972
angles: 90.00 90.00 36.31
Fractional positions:
1 Ba 0.064 0.593 0.875
2 Ba 0.093 0.564 0.375
3 Ba 0.407 0.936 0.875
4 Ba 0.436 0.907 0.375
5 Ba 0.564 0.093 0.625
6 Ba 0.593 0.064 0.125
7 Ba 0.907 0.436 0.625
8 Ba 0.936 0.407 0.125
9 Mn 0.000 0.000 0.500
10 Mn 0.500 0.500 0.000
11 Ga 0.144 0.856 0.174
12 Ga 0.356 0.644 0.674
13 Ga 0.644 0.356 0.326
14 Ga 0.856 0.144 0.826
15 S 0.125 0.675 0.604
16 S 0.175 0.625 0.104
17 S 0.230 0.770 0.843
18 S 0.270 0.730 0.343
19 S 0.325 0.875 0.604
20 S 0.375 0.825 0.104
21 S 0.625 0.175 0.896
22 S 0.675 0.125 0.396
23 S 0.730 0.270 0.657
24 S 0.770 0.230 0.157
25 S 0.825 0.375 0.896
26 S 0.875 0.325 0.396
27 F 0.234 0.266 0.750
28 F 0.248 0.248 0.500
29 F 0.252 0.252 0.000
30 F 0.266 0.234 0.250
31 F 0.734 0.766 0.750
32 F 0.748 0.748 0.000
33 F 0.752 0.752 0.500
34 F 0.766 0.734 0.250

Energy relative to the elements in eV per atom: -2.4959
Space group: Cmce
E (MP2020) in eV per atom: -5.753
VASP energy in eV/atom: -5.3687

# 4
Compound: Ba2NaTi2MnRe2Si8HO26F
Source: the Materials Project
Functional: GGA+U
Structure: optimized geometry

abc: 21.344 7.289 7.289
angles: 95.23 90.00 90.00
Fractional positions:
1 Ba 0.250 0.033 0.967
2 Ba 0.250 0.611 0.435
3 Ba 0.750 0.435 0.611
4 Ba 0.750 0.967 0.033
5 Na 0.000 0.004 0.004
6 Na 0.500 0.004 0.004
7 Ti 0.186 0.550 0.927
8 Ti 0.314 0.550 0.927
9 Ti 0.686 0.927 0.550
10 Ti 0.814 0.927 0.550
11 Mn 0.000 0.372 0.372
12 Mn 0.500 0.372 0.372
13 Re 0.024 0.511 0.971
14 Re 0.476 0.511 0.971
15 Re 0.524 0.971 0.511
16 Re 0.976 0.971 0.511
17 Si 0.098 0.841 0.249
18 Si 0.104 0.260 0.625
19 Si 0.118 0.868 0.656
20 Si 0.129 0.259 0.214
21 Si 0.371 0.259 0.214
22 Si 0.382 0.868 0.656
23 Si 0.396 0.260 0.625
24 Si 0.402 0.841 0.249
25 Si 0.598 0.249 0.841
26 Si 0.604 0.625 0.260
27 Si 0.618 0.656 0.868
28 Si 0.629 0.214 0.259
29 Si 0.871 0.214 0.259
30 Si 0.882 0.656 0.868
31 Si 0.896 0.625 0.260
32 Si 0.902 0.249 0.841
33 H 0.250 0.968 0.356
34 H 0.750 0.356 0.968
35 O 0.025 0.878 0.293
36 O 0.037 0.183 0.544
37 O 0.043 0.880 0.693
38 O 0.060 0.319 0.140
39 O 0.100 0.426 0.792
40 O 0.100 0.677 0.080
41 O 0.130 0.030 0.176
42 O 0.133 0.789 0.438
43 O 0.138 0.330 0.437
44 O 0.145 0.086 0.696
45 O 0.168 0.754 0.772
46 O 0.183 0.350 0.099
47 O 0.250 0.436 0.773
48 O 0.250 0.681 0.069
49 O 0.317 0.350 0.099
50 O 0.332 0.754 0.772
51 O 0.355 0.086 0.696
52 O 0.362 0.330 0.437
53 O 0.367 0.789 0.438
54 O 0.370 0.030 0.176
55 O 0.400 0.426 0.792
56 O 0.400 0.677 0.080
57 O 0.440 0.319 0.140
58 O 0.457 0.880 0.693
59 O 0.463 0.183 0.544
60 O 0.475 0.878 0.293
61 O 0.525 0.293 0.878
62 O 0.537 0.544 0.183
63 O 0.543 0.693 0.880
64 O 0.560 0.140 0.319
65 O 0.600 0.080 0.677
66 O 0.600 0.792 0.426
67 O 0.630 0.176 0.030
68 O 0.633 0.438 0.789
69 O 0.638 0.437 0.330
70 O 0.645 0.696 0.086
71 O 0.668 0.772 0.754
72 O 0.683 0.099 0.350
73 O 0.750 0.069 0.681
74 O 0.750 0.773 0.436
75 O 0.817 0.099 0.350
76 O 0.832 0.772 0.754
77 O 0.855 0.696 0.086
78 O 0.862 0.437 0.330
79 O 0.867 0.438 0.789
80 O 0.870 0.176 0.030
81 O 0.900 0.080 0.677
82 O 0.900 0.792 0.426
83 O 0.940 0.140 0.319
84 O 0.957 0.693 0.880
85 O 0.963 0.544 0.183
86 O 0.975 0.293 0.878
87 F 0.000 0.565 0.565
88 F 0.500 0.565 0.565

Energy relative to the elements in eV per atom: -2.7950
Space group: Ama2
E (MP2020) in eV per atom: -8.076
VASP energy in eV/atom: -7.6215

# 5
Compound: Ba4MnIn2S6F4
Source: the Materials Project
Functional: GGA+U
Structure: optimized geometry

abc: 13.246 19.080 6.457
angles: 90.00 90.00 90.00
Fractional positions:
1 Ba 0.000 0.075 0.246
2 Ba 0.000 0.425 0.246
3 Ba 0.000 0.575 0.754
4 Ba 0.000 0.925 0.754
5 Ba 0.248 0.075 0.761
6 Ba 0.248 0.425 0.761
7 Ba 0.252 0.575 0.261
8 Ba 0.252 0.925 0.261
9 Ba 0.500 0.075 0.254
10 Ba 0.500 0.425 0.254
11 Ba 0.500 0.575 0.746
12 Ba 0.500 0.925 0.746
13 Ba 0.748 0.075 0.739
14 Ba 0.748 0.425 0.739
15 Ba 0.752 0.575 0.239
16 Ba 0.752 0.925 0.239
17 Mn 0.124 0.250 0.501
18 Mn 0.376 0.750 0.001
19 Mn 0.624 0.250 0.999
20 Mn 0.876 0.750 0.499
21 In 0.046 0.750 0.133
22 In 0.206 0.750 0.634
23 In 0.294 0.250 0.134
24 In 0.454 0.250 0.633
25 In 0.546 0.750 0.367
26 In 0.706 0.750 0.866
27 In 0.794 0.250 0.366
28 In 0.954 0.250 0.867
29 S 0.024 0.143 0.718
30 S 0.024 0.357 0.718
31 S 0.025 0.750 0.749
32 S 0.224 0.144 0.285
33 S 0.224 0.356 0.285
34 S 0.227 0.750 0.251
35 S 0.273 0.250 0.751
36 S 0.276 0.644 0.785
37 S 0.276 0.856 0.785
38 S 0.475 0.250 0.249
39 S 0.476 0.643 0.218
40 S 0.476 0.857 0.218
41 S 0.524 0.143 0.782
42 S 0.524 0.357 0.782
43 S 0.525 0.750 0.751
44 S 0.724 0.144 0.215
45 S 0.724 0.356 0.215
46 S 0.727 0.750 0.249
47 S 0.773 0.250 0.749
48 S 0.776 0.644 0.715
49 S 0.776 0.856 0.715
50 S 0.975 0.250 0.251
51 S 0.976 0.643 0.282
52 S 0.976 0.857 0.282
53 F 0.125 0.502 0.509
54 F 0.125 0.503 0.005
55 F 0.125 0.997 0.005
56 F 0.125 0.998 0.509
57 F 0.375 0.002 0.009
58 F 0.375 0.003 0.505
59 F 0.375 0.497 0.505
60 F 0.375 0.498 0.009
61 F 0.625 0.502 0.991
62 F 0.625 0.503 0.495
63 F 0.625 0.997 0.495
64 F 0.625 0.998 0.991
65 F 0.875 0.002 0.491
66 F 0.875 0.003 0.995
67 F 0.875 0.497 0.995
68 F 0.875 0.498 0.491

Energy relative to the elements in eV per atom: -2.2512
Space group: Pnma
E (MP2020) in eV per atom: -5.476
VASP energy in eV/atom: -5.0915

# 6
Compound: KBa2Ni2F9
Source: the Materials Project
Functional: GGA+U
Structure: optimized geometry

abc: 7.783 7.783 7.783
angles: 44.07 44.07 44.07
Fractional positions:
1 K 0.000 0.000 0.000
2 Ba 0.582 0.582 0.582
3 Ba 0.787 0.787 0.787
4 Ni 0.180 0.180 0.180
5 Ni 0.394 0.394 0.394
6 F 0.008 0.520 0.520
7 F 0.057 0.057 0.565
8 F 0.057 0.565 0.057
9 F 0.293 0.293 0.783
10 F 0.293 0.783 0.293
11 F 0.520 0.008 0.520
12 F 0.520 0.520 0.008
13 F 0.565 0.057 0.057
14 F 0.783 0.293 0.293

Energy relative to the elements in eV per atom: -3.2031
Space group: R3m
E (MP2020) in eV per atom: -5.613
VASP energy in eV/atom: -4.9531

# 7
Compound: BaMgMnF7
Source: the Materials Project
Functional: GGA+U
Structure: optimized geometry

abc: 5.775 9.969 9.589
angles: 90.00 93.76 90.00
Fractional positions:
1 Ba 0.227 0.184 0.000
2 Ba 0.227 0.316 0.500
3 Ba 0.773 0.684 0.500
4 Ba 0.773 0.816 0.000
5 Mg 0.193 0.602 0.809
6 Mg 0.193 0.898 0.309
7 Mg 0.807 0.102 0.691
8 Mg 0.807 0.398 0.191
9 Mn 0.308 0.610 0.188
10 Mn 0.308 0.890 0.688
11 Mn 0.692 0.110 0.312
12 Mn 0.692 0.390 0.812
13 F 0.021 0.722 0.257
14 F 0.021 0.778 0.757
15 F 0.118 0.541 0.622
16 F 0.118 0.959 0.122
17 F 0.128 0.047 0.633
18 F 0.128 0.453 0.133
19 F 0.240 0.686 0.007
20 F 0.240 0.814 0.507
21 F 0.370 0.056 0.375
22 F 0.370 0.444 0.875
23 F 0.385 0.541 0.365
24 F 0.385 0.959 0.865
25 F 0.466 0.721 0.751
26 F 0.466 0.779 0.251
27 F 0.534 0.221 0.749
28 F 0.534 0.279 0.249
29 F 0.615 0.041 0.135
30 F 0.615 0.459 0.635
31 F 0.630 0.556 0.125
32 F 0.630 0.944 0.625
33 F 0.760 0.186 0.493
34 F 0.760 0.314 0.993
35 F 0.872 0.547 0.867
36 F 0.872 0.953 0.367
37 F 0.882 0.041 0.878
38 F 0.882 0.459 0.378
39 F 0.979 0.222 0.243
40 F 0.979 0.278 0.743

Energy relative to the elements in eV per atom: -3.5187
Space group: P2_1/c
E (MP2020) in eV per atom: -6.127
VASP energy in eV/atom: -5.6368

# 8
Compound: BaMgNiF7
Source: the Materials Project
Functional: GGA+U
Structure: optimized geometry

abc: 5.618 9.919 9.616
angles: 90.00 93.16 90.00
Fractional positions:
1 Ba 0.236 0.181 0.499
2 Ba 0.236 0.319 0.999
3 Ba 0.764 0.681 0.001
4 Ba 0.764 0.819 0.501
5 Mg 0.198 0.603 0.311
6 Mg 0.198 0.897 0.811
7 Mg 0.802 0.103 0.189
8 Mg 0.802 0.397 0.689
9 Ni 0.306 0.613 0.689
10 Ni 0.306 0.887 0.189
11 Ni 0.694 0.113 0.811
12 Ni 0.694 0.387 0.311
13 F 0.031 0.711 0.750
14 F 0.031 0.789 0.250
15 F 0.121 0.543 0.124
16 F 0.121 0.957 0.624
17 F 0.128 0.047 0.133
18 F 0.128 0.453 0.633
19 F 0.244 0.687 0.505
20 F 0.244 0.813 0.005
21 F 0.383 0.545 0.864
22 F 0.383 0.955 0.364
23 F 0.391 0.053 0.873
24 F 0.391 0.447 0.373
25 F 0.476 0.721 0.249
26 F 0.476 0.779 0.749
27 F 0.524 0.221 0.251
28 F 0.524 0.279 0.751
29 F 0.609 0.553 0.627
30 F 0.609 0.947 0.127
31 F 0.617 0.045 0.636
32 F 0.617 0.455 0.136
33 F 0.756 0.187 0.995
34 F 0.756 0.313 0.495
35 F 0.872 0.547 0.367
36 F 0.872 0.953 0.867
37 F 0.879 0.043 0.376
38 F 0.879 0.457 0.876
39 F 0.969 0.211 0.750
40 F 0.969 0.289 0.250

Energy relative to the elements in eV per atom: -3.1725
Space group: P2_1/c
E (MP2020) in eV per atom: -5.443
VASP energy in eV/atom: -4.8651